Entry 1:
A relaxed structure of CaY2Ge4O12, computed with PBE-GGA.

Unit cell a=10.1356 b=10.1356 c=5.1165 alpha=90.00 beta=90.00 gamma=90.13
Fractional positions:
Ca (0.0000, 0.0000, 0.0000)
Ca (0.5000, 0.5000, 0.0000)
Y (0.0000, 0.5000, 0.0000)
Y (0.2500, 0.2500, 0.0000)
Y (0.5000, 0.0000, 0.0000)
Y (0.7500, 0.7500, 0.0000)
Ge (0.0211, 0.7509, 0.5020)
Ge (0.2491, 0.9789, 0.5020)
Ge (0.2509, 0.5211, 0.5020)
Ge (0.4789, 0.7491, 0.5020)
Ge (0.5211, 0.2509, 0.4980)
Ge (0.7491, 0.4789, 0.4980)
Ge (0.7509, 0.0211, 0.4980)
Ge (0.9789, 0.2491, 0.4980)
O (0.0584, 0.3272, 0.7590)
O (0.0667, 0.1776, 0.2453)
O (0.1240, 0.6240, 0.6616)
O (0.1288, 0.8712, 0.3468)
O (0.1728, 0.4416, 0.2410)
O (0.1776, 0.0667, 0.7547)
O (0.3224, 0.4333, 0.7547)
O (0.3272, 0.0584, 0.2410)
O (0.3712, 0.6288, 0.3468)
O (0.3760, 0.8760, 0.6616)
O (0.4333, 0.3224, 0.2453)
O (0.4416, 0.1728, 0.7590)
O (0.5584, 0.8272, 0.2410)
O (0.5667, 0.6776, 0.7547)
O (0.6240, 0.1240, 0.3384)
O (0.6288, 0.3712, 0.6532)
O (0.6728, 0.9416, 0.7590)
O (0.6776, 0.5667, 0.2453)
O (0.8224, 0.9333, 0.2453)
O (0.8272, 0.5584, 0.7590)
O (0.8712, 0.1288, 0.6532)
O (0.8760, 0.3760, 0.3384)
O (0.9333, 0.8224, 0.7547)
O (0.9416, 0.6728, 0.2410)

Summary:
Energy relative to the elements = -2.82 eV per atom
Total energy = -276.32 eV for the cell shown

Entry 2:
A relaxed structure of Ca3Y2Ge3O12, computed with PBE-GGA.

Unit cell a=11.2216 b=11.2216 c=11.2216 alpha=109.47 beta=109.47 gamma=109.47
Fractional positions:
Ca (0.1250, 0.2500, 0.3750)
Ca (0.1250, 0.3750, 0.7500)
Ca (0.2500, 0.3750, 0.1250)
Ca (0.2500, 0.8750, 0.6250)
Ca (0.3750, 0.1250, 0.2500)
Ca (0.3750, 0.7500, 0.1250)
Ca (0.6250, 0.2500, 0.8750)
Ca (0.6250, 0.8750, 0.7500)
Ca (0.7500, 0.1250, 0.3750)
Ca (0.7500, 0.6250, 0.8750)
Ca (0.8750, 0.6250, 0.2500)
Ca (0.8750, 0.7500, 0.6250)
Y (0.0000, 0.0000, 0.0000)
Y (0.0000, 0.0000, 0.5000)
Y (0.0000, 0.5000, 0.0000)
Y (0.0000, 0.5000, 0.5000)
Y (0.5000, 0.0000, 0.0000)
Y (0.5000, 0.0000, 0.5000)
Y (0.5000, 0.5000, 0.0000)
Y (0.5000, 0.5000, 0.5000)
Ge (0.1250, 0.7500, 0.8750)
Ge (0.1250, 0.8750, 0.2500)
Ge (0.2500, 0.1250, 0.8750)
Ge (0.2500, 0.6250, 0.3750)
Ge (0.3750, 0.2500, 0.6250)
Ge (0.3750, 0.6250, 0.7500)
Ge (0.6250, 0.3750, 0.2500)
Ge (0.6250, 0.7500, 0.3750)
Ge (0.7500, 0.3750, 0.6250)
Ge (0.7500, 0.8750, 0.1250)
Ge (0.8750, 0.1250, 0.7500)
Ge (0.8750, 0.2500, 0.1250)
O (0.0204, 0.2170, 0.1252)
O (0.0204, 0.3034, 0.8952)
O (0.0918, 0.7170, 0.6966)
O (0.0918, 0.8748, 0.3952)
O (0.1048, 0.6252, 0.4082)
O (0.1048, 0.9796, 0.6966)
O (0.1252, 0.0204, 0.2170)
O (0.1252, 0.6048, 0.9082)
O (0.1966, 0.2170, 0.5918)
O (0.1966, 0.4796, 0.6048)
O (0.2170, 0.1252, 0.0204)
O (0.2170, 0.5918, 0.1966)
O (0.2830, 0.3034, 0.9082)
O (0.2830, 0.4796, 0.3748)
O (0.3034, 0.8952, 0.0204)
O (0.3034, 0.9082, 0.2830)
O (0.3748, 0.2830, 0.4796)
O (0.3748, 0.5918, 0.8952)
O (0.3952, 0.0918, 0.8748)
O (0.3952, 0.8034, 0.5204)
O (0.4082, 0.1048, 0.6252)
O (0.4082, 0.8034, 0.7830)
O (0.4796, 0.3748, 0.2830)
O (0.4796, 0.6048, 0.1966)
O (0.5204, 0.3952, 0.8034)
O (0.5204, 0.6252, 0.7170)
O (0.5918, 0.1966, 0.2170)
O (0.5918, 0.8952, 0.3748)
O (0.6048, 0.1966, 0.4796)
O (0.6048, 0.9082, 0.1252)
O (0.6252, 0.4082, 0.1048)
O (0.6252, 0.7170, 0.5204)
O (0.6966, 0.0918, 0.7170)
O (0.6966, 0.1048, 0.9796)
O (0.7170, 0.5204, 0.6252)
O (0.7170, 0.6966, 0.0918)
O (0.7830, 0.4082, 0.8034)
O (0.7830, 0.8748, 0.9796)
O (0.8034, 0.5204, 0.3952)
O (0.8034, 0.7830, 0.4082)
O (0.8748, 0.3952, 0.0918)
O (0.8748, 0.9796, 0.7830)
O (0.8952, 0.0204, 0.3034)
O (0.8952, 0.3748, 0.5918)
O (0.9082, 0.1252, 0.6048)
O (0.9082, 0.2830, 0.3034)
O (0.9796, 0.6966, 0.1048)
O (0.9796, 0.7830, 0.8748)

Summary:
Energy relative to the elements = -3.08 eV per atom
Total energy = -582.45 eV for the cell shown